Version one
{
  "formula": "Li2MnOF3",
  "functional": "PBE+U",
  "state": "relaxed",
  "lattice": [[6.0755, 0.0000, 0.0000], [0.0000, 6.0755, 0.0000], [0.0000, 0.0000, 8.2660]],
  "species": ["F", "O", "Li", "Li", "F", "F", "O", "F", "F", "Li", "F", "Mn", "O", "Mn", "Li", "Li", "F", "F", "Li", "Li", "Li", "Mn", "F", "F", "F", "F", "Mn", "O"],
  "fractional_positions": [[0.5001, 0.2551, 0.2437], [0.7793, 0.9670, 0.4824], [0.7429, 0.2359, 0.6189], [0.7328, 0.4838, 0.2546], [0.2551, 0.4999, 0.9937], [0.9973, 0.7235, 0.2640], [0.0330, 0.7793, 0.7324], [0.4731, 0.2378, 0.7552], [0.7449, 0.5001, 0.4937], [0.2359, 0.2571, 0.3689], [0.7622, 0.4731, 0.0052], [0.7450, 0.0042, 0.2562], [0.2207, 0.0330, 0.9824], [0.0042, 0.2550, 0.0062], [0.2571, 0.7641, 0.1189], [0.7641, 0.7429, 0.8689], [0.5269, 0.7622, 0.2552], [0.4999, 0.7449, 0.7437], [0.2672, 0.5162, 0.7546], [0.4838, 0.2672, 0.0046], [0.5162, 0.7328, 0.5046], [0.9958, 0.7450, 0.5062], [0.2765, 0.9973, 0.5140], [0.0027, 0.2765, 0.7640], [0.2378, 0.5269, 0.5052], [0.7235, 0.0027, 0.0140], [0.2550, 0.9958, 0.7562], [0.9670, 0.2207, 0.2324]]
}

***

Version two
{
  "formula": "Li2MnOF3",
  "functional": "PBE+U",
  "state": "relaxed",
  "lattice": [[4.6734, -1.3759, -2.1309], [0.8252, 2.0583, 5.7088], [-4.2120, -9.5010, 2.0726]],
  "species": ["Li", "F", "F", "O", "Li", "Li", "F", "F", "Li", "Mn", "F", "O", "F", "F", "Li", "Li", "F", "O", "F", "Mn", "O", "F", "F", "Li", "F", "Mn", "Li", "Mn"],
  "fractional_positions": [[0.3177, 0.3018, 0.8624], [0.1589, 0.8757, 0.4280], [0.4457, 0.2898, 0.7013], [0.9202, 0.5167, 0.2009], [0.7500, 0.1250, 0.7500], [0.2502, 0.3750, 0.2501], [0.4457, 0.7898, 0.7013], [0.6394, 0.1570, 0.9432], [0.2498, 0.8750, 0.2499], [0.6404, 0.6971, 0.1242], [0.8606, 0.0930, 0.5568], [0.5802, 0.2336, 0.2992], [0.1587, 0.3755, 0.4280], [0.3412, 0.3743, 0.0720], [0.1823, 0.4482, 0.6376], [0.1823, 0.9482, 0.6376], [0.0543, 0.9602, 0.7987], [0.9198, 0.0164, 0.2008], [0.0543, 0.4602, 0.7987], [0.8596, 0.5529, 0.3758], [0.5798, 0.7333, 0.2991], [0.8608, 0.5930, 0.5569], [0.6392, 0.6570, 0.9431], [0.3177, 0.8018, 0.8624], [0.3413, 0.8745, 0.0720], [0.6401, 0.1971, 0.1242], [0.7500, 0.6250, 0.7500], [0.8599, 0.0529, 0.3758]]
}

***

Stability verdict: version one, ahead by 38 meV/atom

***

Version one
{
  "formula": "Li3Mn4O8",
  "functional": "PBE+U",
  "state": "relaxed",
  "lattice": [[-0.1578, -0.1015, 5.3110], [5.7606, 0.1835, -1.9346], [-2.9803, 4.9133, -0.0038]],
  "species": ["Li", "Mn", "O", "Li", "Mn", "O", "O", "O", "Li", "Mn", "Mn", "O", "O", "O", "O"],
  "fractional_positions": [[0.4987, 0.9989, 0.2472], [0.0004, 0.5005, 0.9980], [0.7709, 0.7850, 0.6291], [0.5133, 0.4922, 0.2463], [0.9885, 0.9924, 0.9961], [0.8029, 0.2396, 0.6190], [0.2247, 0.2160, 0.8640], [0.7726, 0.7851, 0.1571], [0.4986, 0.9988, 0.7515], [0.0012, 0.5005, 0.5022], [0.0085, 0.0063, 0.5032], [0.2096, 0.7585, 0.3801], [0.2263, 0.2168, 0.3511], [0.2133, 0.7266, 0.8638], [0.7705, 0.2830, 0.1412]]
}

***

Version two
{
  "formula": "Li3Mn4O8",
  "functional": "PBE+U",
  "state": "relaxed",
  "lattice": [[6.0124, 0.0000, 0.0000], [-0.3222, 6.0107, 0.0000], [-0.0053, -0.1075, 8.0201]],
  "species": ["Li", "Mn", "Mn", "O", "Li", "O", "O", "O", "Mn", "Mn", "O", "Mn", "O", "Li", "Mn", "Li", "O", "O", "O", "O", "O", "O", "O", "Li", "Li", "O", "Mn", "Mn", "O", "O"],
  "fractional_positions": [[0.2446, 0.2523, 0.7487], [0.2509, 0.7497, 0.7485], [0.4991, 0.9994, 0.9980], [0.2534, 0.7689, 0.9890], [0.0131, 0.4862, 0.9979], [0.9703, 0.0263, 0.2513], [0.2192, 0.2636, 0.4980], [0.4718, 0.5282, 0.7502], [0.9978, 0.9992, 0.4987], [0.5010, 0.5023, 0.4975], [0.2473, 0.7293, 0.5076], [0.9999, 0.9962, 0.9986], [0.0286, 0.9699, 0.7455], [0.7586, 0.7431, 0.2474], [0.7501, 0.2485, 0.2483], [0.2500, 0.2496, 0.2480], [0.5181, 0.0218, 0.2369], [0.7173, 0.7669, 0.9983], [0.2796, 0.2352, 0.9978], [0.5305, 0.4713, 0.2454], [0.9819, 0.4768, 0.2587], [0.7473, 0.2280, 0.0073], [0.4798, 0.9788, 0.7592], [0.7514, 0.7480, 0.7486], [0.4901, 0.0105, 0.4992], [0.7849, 0.7304, 0.4981], [0.0013, 0.4978, 0.4979], [0.5027, 0.4991, 0.9977], [0.7532, 0.2696, 0.4888], [0.0209, 0.5192, 0.7376]]
}

***

Stability verdict: version one, ahead by 27 meV/atom